No. 1
48
Lattice="7.046 0.000 0.000 0.000 16.004 0.000 -0.109 0.000 7.052" Properties=species:S:1:pos:R:3 comment="BaU2P2O19, optimized geometry, DFT PBE" final_energy_ev_per_cell=-351.611 spacegroup="P2_1 (4)" pbc="T T T"
Ba 1.403 0.000 3.134
Ba 5.534 8.002 3.919
U 0.264 13.720 0.170
U 3.268 4.020 3.256
U 3.670 12.022 3.796
U 6.673 5.718 6.883
P 0.258 12.818 3.810
P 3.133 4.894 6.760
P 3.805 12.896 0.293
P 6.679 4.816 3.243
O 0.065 11.933 6.980
O 0.255 9.624 1.839
O 0.391 15.537 0.534
O 0.368 13.948 4.894
O 0.431 13.569 2.451
O 1.002 4.127 3.189
O 1.213 9.260 5.460
O 1.388 9.620 1.358
O 1.399 11.778 3.955
O 1.467 7.899 3.751
O 1.880 5.821 6.695
O 1.985 8.494 4.790
O 2.527 13.781 0.301
O 2.560 1.318 6.833
O 2.636 0.556 5.868
O 3.027 2.172 3.213
O 3.191 4.057 1.011
O 3.154 3.956 5.520
O 3.355 13.838 3.697
O 3.582 5.836 3.355
O 3.784 11.958 1.533
O 3.747 12.059 6.041
O 3.910 10.174 3.839
O 4.302 8.558 1.185
O 4.378 9.320 0.220
O 4.410 5.779 6.752
O 4.952 0.493 2.263
O 5.057 13.823 0.358
O 5.470 15.901 3.302
O 5.539 3.776 3.097
O 5.550 1.618 5.695
O 5.725 1.258 1.593
O 5.936 12.128 3.863
O 6.506 5.567 4.601
O 6.570 5.946 2.158
O 6.547 7.535 6.518
O 6.683 1.622 5.214
O 6.872 3.931 0.073

=====

No. 2
9
Lattice="-2.081 2.081 9.883 2.081 -2.081 9.883 2.081 2.081 -9.883" Properties=species:S:1:pos:R:3 comment="Ba2Zn3P2O2, optimized geometry, DFT PBE" final_energy_ev_per_cell=-39.673 spacegroup="I4/mmm (139)" pbc="T T T"
Ba 0.000 0.000 1.819
Ba 0.000 0.000 17.947
Zn 2.081 0.000 4.942
Zn 0.000 0.000 9.883
Zn 0.000 2.081 4.942
P 0.000 0.000 6.351
P 0.000 0.000 13.415
O 2.081 0.000 0.000
O 0.000 2.081 0.000

=====

No. 3
74
Lattice="12.763 -3.834 0.000 12.763 3.834 0.000 -1.888 0.000 13.633" Properties=species:S:1:pos:R:3 comment="Ba2ZnP6O28, optimized geometry, DFT PBE" relative_energy_mev_per_atom=0 final_energy_ev_per_cell=-472.863 spacegroup="C2/c (15)" pbc="T T T"
Ba 4.881 1.446 3.949
Ba 3.937 -1.446 10.765
Ba 19.700 1.446 2.867
Ba 18.756 -1.446 9.684
Zn 11.347 0.865 10.225
Zn 12.291 -0.865 3.408
P 7.823 1.481 2.102
P 6.780 1.099 12.937
P 9.057 0.255 8.365
P 10.001 -0.255 1.549
P 7.724 -1.099 6.121
P 16.759 1.481 4.714
P 6.879 -1.481 8.919
P 15.913 1.099 7.512
P 13.636 0.255 12.084
P 14.581 -0.255 5.268
P 16.857 -1.099 0.696
P 15.815 -1.481 11.531
O 10.056 3.182 5.496
O 4.894 1.645 6.945
O 11.273 3.568 8.731
O 3.300 1.147 10.684
O 11.420 3.568 11.718
O 8.039 1.936 0.568
O 7.375 2.083 11.985
O 10.468 2.786 11.516
O 11.078 2.522 5.613
O 14.526 3.182 1.321
O 12.225 2.786 8.933
O 8.386 1.569 8.554
O 13.504 2.522 1.203
O 6.825 0.357 2.225
O 9.325 0.910 2.448
O 5.805 0.094 12.415
O 6.749 -0.094 5.599
O 5.881 -0.357 9.042
O 4.244 -1.147 3.867
O 9.931 0.334 0.067
O 15.318 2.083 8.464
O 14.308 1.569 11.896
O 16.543 1.936 6.248
O 8.986 -0.334 6.883
O 10.560 0.197 8.709
O 5.838 -1.645 0.128
O 11.504 -0.197 1.892
O 8.381 -0.910 9.265
O 15.257 0.910 4.368
O 12.134 0.197 11.741
O 17.800 1.645 13.505
O 13.078 -0.197 4.924
O 14.651 0.334 6.749
O 7.095 -1.936 7.385
O 9.330 -1.569 1.737
O 8.320 -2.083 5.169
O 13.707 -0.334 13.566
O 19.394 1.147 9.766
O 17.757 0.357 4.591
O 16.889 0.094 8.034
O 17.833 -0.094 1.218
O 14.313 -0.910 11.185
O 16.813 -0.357 11.408
O 10.134 -2.522 12.430
O 15.252 -1.569 5.079
O 11.413 -2.786 4.700
O 9.112 -3.182 12.312
O 12.559 -2.522 8.020
O 13.169 -2.786 2.117
O 16.262 -2.083 1.647
O 15.598 -1.936 13.065
O 12.217 -3.568 1.915
O 20.338 -1.147 2.949
O 12.365 -3.568 4.902
O 18.744 -1.645 6.688
O 13.582 -3.182 8.137

=====

No. 4
74
Lattice="13.296 -3.747 0.000 13.296 3.747 0.000 -3.012 0.000 13.581" Properties=species:S:1:pos:R:3 comment="Ba2ZnP6O28, optimized geometry, DFT PBE" relative_energy_mev_per_atom=21 final_energy_ev_per_cell=-471.343 spacegroup="C2/c (15)" pbc="T T T"
Ba 4.856 1.362 3.808
Ba 3.350 -1.362 10.599
Ba 20.230 1.362 2.983
Ba 18.724 -1.362 9.773
Zn 11.037 1.320 10.186
Zn 12.543 -1.320 3.395
P 8.040 1.385 2.177
P 5.978 1.035 12.965
P 8.614 0.486 8.432
P 10.120 -0.486 1.641
P 7.484 -1.035 6.174
P 17.046 1.385 4.614
P 6.533 -1.385 8.967
P 16.095 1.035 7.408
P 13.459 0.486 11.941
P 14.965 -0.486 5.150
P 17.601 -1.035 0.617
P 15.540 -1.385 11.405
O -1.803 0.041 11.570
O 2.405 1.132 10.577
O 1.279 0.242 1.650
O -0.297 -0.041 4.779
O 4.666 1.482 6.859
O 8.283 1.801 0.636
O 6.677 2.070 12.143
O -0.227 -0.242 8.441
O 12.876 2.820 1.689
O 12.210 2.820 5.102
O 9.547 2.435 11.669
O 7.839 1.742 8.584
O 12.526 2.435 8.703
O 6.968 0.331 2.280
O 5.017 0.133 12.259
O 9.496 0.714 2.533
O 6.523 -0.133 5.468
O 5.461 -0.331 9.071
O 3.911 -1.132 3.786
O 10.135 0.135 0.163
O 15.396 2.070 8.229
O 10.107 0.537 8.797
O 8.629 -0.135 6.954
O 14.234 1.742 11.788
O 6.173 -1.482 0.068
O 16.803 1.801 6.155
O 7.989 -0.714 9.324
O 11.966 0.537 11.575
O 11.614 -0.537 2.007
O 15.590 0.714 4.258
O 6.777 -1.801 7.427
O 17.407 1.482 13.514
O 9.345 -1.742 1.793
O 14.950 0.135 6.627
O 13.472 -0.537 4.784
O 8.183 -2.070 5.352
O 13.444 -0.135 13.418
O 19.668 1.132 9.796
O 18.118 0.331 4.511
O 17.057 0.133 8.113
O 14.084 -0.714 11.048
O 18.563 -0.133 1.322
O 16.612 -0.331 11.301
O 11.053 -2.435 4.878
O 15.740 -1.742 4.997
O 14.032 -2.435 1.913
O 11.369 -2.820 8.479
O 10.704 -2.820 11.893
O 23.806 0.242 5.141
O 16.902 -2.070 1.439
O 15.296 -1.801 12.945
O 18.913 -1.482 6.723
O 23.876 0.041 8.803
O 22.300 -0.242 11.932
O 21.174 -1.132 3.005
O 25.383 -0.041 2.012

=====

No. 5
35
Lattice="4.427 2.556 8.049 -4.427 2.556 8.049 0.000 -5.111 8.049" Properties=species:S:1:pos:R:3 comment="BaZr4P6O24, optimized geometry, DFT PBE" final_energy_ev_per_cell=-284.969 spacegroup="R-3 (148)" pbc="T T T"
Ba 0.000 0.000 0.000
Zr 0.000 0.000 3.647
Zr 0.000 0.000 8.560
Zr 0.000 0.000 15.588
Zr 0.000 0.000 20.501
P -3.192 -0.344 10.021
P -1.298 -2.936 14.127
P 1.893 -2.592 10.021
P -1.894 2.592 14.127
P 1.298 2.936 10.021
P 3.192 0.344 14.127
O -3.458 -1.169 11.297
O -3.666 1.117 10.276
O -2.800 -2.617 13.872
O -0.443 -1.670 7.288
O -1.686 -0.349 9.713
O -0.716 -3.579 12.851
O -1.224 1.218 7.288
O 0.866 -3.734 10.276
O -2.741 2.410 12.851
O -0.540 -1.634 14.435
O 1.145 -1.285 9.713
O -1.667 -0.451 16.860
O 1.667 0.451 7.288
O -1.145 1.285 14.435
O 0.540 1.634 9.713
O 2.741 -2.410 11.297
O -0.866 3.734 13.872
O 1.224 -1.218 16.860
O 0.716 3.579 11.297
O 1.686 0.349 14.435
O 0.443 1.670 16.860
O 2.800 2.617 10.276
O 3.666 -1.117 13.872
O 3.458 1.169 12.851

=====

No. 6
12
Lattice="5.336 0.000 0.000 -2.668 4.621 0.000 0.000 0.000 7.707" Properties=species:S:1:pos:R:3 comment="BaZrP2O8, optimized geometry, DFT PBE" final_energy_ev_per_cell=-94.755 spacegroup="P-3m1 (164)" pbc="T T T"
Ba 0.000 0.000 0.000
Zr 0.000 0.000 3.854
P 0.000 3.081 5.716
P 2.668 1.540 1.992
O 0.000 1.626 5.164
O -1.260 3.808 5.164
O 0.000 3.081 7.235
O 1.408 0.813 2.543
O 1.260 3.808 5.164
O 2.668 1.540 0.473
O 3.928 0.813 2.543
O 2.668 2.995 2.543

=====

Energy relative to the elements for every record listed, in sequence, given in eV/atom: -1.94; -1.41; -1.75; -1.73; -3.26; -3.28.
Calculated volume for every record listed, in sequence, given in Å³/atom: 16.57; 19.02; 18.03; 18.29; 15.61; 15.84.